Entry 1:
A plane-wave DFT calculation with meta-GGA r2SCAN was carried out for crystalline ErAlAu at its relaxed geometry.

abc: 7.081 4.418 7.728
angles: 90.00 90.00 90.00
Sites, in units of the cell vectors:
Er 0.008 0.250 0.199
Er 0.492 0.750 0.699
Er 0.508 0.250 0.301
Er 0.992 0.750 0.801
Al 0.175 0.250 0.578
Al 0.325 0.750 0.078
Al 0.675 0.250 0.922
Al 0.825 0.750 0.422
Au 0.215 0.750 0.405
Au 0.285 0.250 0.905
Au 0.715 0.750 0.095
Au 0.785 0.250 0.595

As for the magnetic moment: 0.0 μB/f.u. The energy of formation is -0.890 eV per atom.


Entry 2:
A plane-wave DFT calculation with meta-GGA r2SCAN was carried out for crystalline Hf2Al3Au at its relaxed geometry.

abc: 5.230 5.230 5.230
angles: 60.81 60.81 60.81
Sites, in units of the cell vectors:
Hf 0.123 0.123 0.123
Hf 0.877 0.877 0.877
Al 0.000 0.500 0.500
Al 0.500 0.000 0.500
Al 0.500 0.500 0.000
Au 0.500 0.500 0.500

As for the magnetic moment: 0.7 μB/f.u. The energy of formation is -0.599 eV per atom.